*i*
DFT (GGA+U) results for CoHCO3 after structural relaxation.

Results
Symmetry   No. 148

Lattice parameters (Å, degrees): 7.3713 7.3713 7.3713 95.53 95.53 95.53
Fractional positions:
Co 0.2141 0.5647 0.4767
Co 0.4353 0.5233 0.7859
Co 0.4767 0.2141 0.5647
Co 0.5233 0.7859 0.4353
Co 0.5647 0.4767 0.2141
Co 0.7859 0.4353 0.5233
H 0.0405 0.3465 0.0875
H 0.0875 0.0405 0.3465
H 0.3465 0.0875 0.0405
H 0.6535 0.9125 0.9595
H 0.9125 0.9595 0.6535
H 0.9595 0.6535 0.9125
C 0.0690 0.6191 0.8278
C 0.1722 0.9310 0.3809
C 0.3809 0.1722 0.9310
C 0.6191 0.8278 0.0690
C 0.8278 0.0690 0.6191
C 0.9310 0.3809 0.1722
O 0.0214 0.5850 0.6545
O 0.0940 0.7727 0.3819
O 0.2273 0.6181 0.9060
O 0.2967 0.3718 0.5939
O 0.3455 0.9786 0.4150
O 0.3718 0.5939 0.2967
O 0.3819 0.0940 0.7727
O 0.4061 0.7033 0.6282
O 0.4150 0.3455 0.9786
O 0.5850 0.6545 0.0214
O 0.5939 0.2967 0.3718
O 0.6181 0.9060 0.2273
O 0.6282 0.4061 0.7033
O 0.6545 0.0214 0.5850
O 0.7033 0.6282 0.4061
O 0.7727 0.3819 0.0940
O 0.9060 0.2273 0.6181
O 0.9786 0.4150 0.3455

=====

*ii*
DFT (GGA+U) results for CoHCO3 after structural relaxation.

Results
Symmetry   No. 2

Lattice parameters (Å, degrees): 6.8731 8.1097 9.3617 72.45 81.36 82.74
Fractional positions:
Co 0.0029 0.4663 0.2367
Co 0.2631 0.7578 0.6141
Co 0.2712 0.3585 0.0127
Co 0.7288 0.6415 0.9873
Co 0.7369 0.2422 0.3859
Co 0.9971 0.5337 0.7633
H 0.0134 0.2157 0.9174
H 0.1577 0.0595 0.2870
H 0.4918 0.6135 0.2570
H 0.5082 0.3865 0.7430
H 0.8423 0.9405 0.7130
H 0.9866 0.7843 0.0826
C 0.1614 0.9632 0.2233
C 0.4202 0.0662 0.5213
C 0.4289 0.7357 0.1828
C 0.5711 0.2643 0.8172
C 0.5798 0.9338 0.4787
C 0.8386 0.0368 0.7767
O 0.0022 0.7547 0.6385
O 0.0428 0.9611 0.1423
O 0.0565 0.3262 0.9201
O 0.2605 0.0067 0.5950
O 0.2624 0.4515 0.1681
O 0.2619 0.5298 0.6901
O 0.3124 0.8301 0.2647
O 0.4593 0.2239 0.4800
O 0.4801 0.7909 0.0456
O 0.5199 0.2091 0.9544
O 0.5407 0.7761 0.5200
O 0.6876 0.1699 0.7353
O 0.7381 0.4702 0.3099
O 0.7376 0.5485 0.8319
O 0.7395 0.9933 0.4050
O 0.9435 0.6738 0.0799
O 0.9572 0.0389 0.8577
O 0.9978 0.2453 0.3615

=====

Which structure is most stable? *i*, by 0.128 eV/atom over the runner-up.

=====

*i*
DFT (GGA+U) results for CoH6C2O6 after structural relaxation.

Results
Symmetry   No. 14

Lattice parameters (Å, degrees): 8.7623 7.2440 9.3147 90.00 97.25 90.00
Fractional positions:
Co 0.0000 0.0000 0.0000
Co 0.0000 0.5000 0.5000
Co 0.5000 0.0000 0.5000
Co 0.5000 0.5000 0.0000
H 0.0329 0.1545 0.2770
H 0.0329 0.3455 0.7770
H 0.1722 0.0212 0.6086
H 0.1722 0.4788 0.1086
H 0.1989 0.0941 0.2359
H 0.1989 0.4059 0.7359
H 0.2653 0.6024 0.4507
H 0.2653 0.8976 0.9507
H 0.2863 0.1133 0.9874
H 0.2863 0.3867 0.4874
H 0.4317 0.7118 0.7267
H 0.4317 0.7882 0.2267
H 0.5683 0.2118 0.7733
H 0.5683 0.2882 0.2733
H 0.7137 0.6133 0.5126
H 0.7137 0.8867 0.0126
H 0.7347 0.1024 0.0493
H 0.7347 0.3976 0.5493
H 0.8011 0.5941 0.2641
H 0.8011 0.9059 0.7641
H 0.8278 0.5212 0.8914
H 0.8278 0.9788 0.3914
H 0.9671 0.6545 0.2230
H 0.9671 0.8455 0.7230
C 0.1753 0.6198 0.0637
C 0.1753 0.8802 0.5637
C 0.4613 0.2219 0.2232
C 0.4613 0.2781 0.7232
C 0.5387 0.7219 0.2768
C 0.5387 0.7781 0.7768
C 0.8247 0.1198 0.4363
C 0.8247 0.3802 0.9363
O 0.0631 0.7256 0.0805
O 0.0631 0.7744 0.5805
O 0.0889 0.1093 0.1973
O 0.0889 0.3907 0.6973
O 0.2203 0.0225 0.9286
O 0.2203 0.4775 0.4286
O 0.2909 0.6643 0.0003
O 0.2909 0.8357 0.5003
O 0.3993 0.1000 0.2946
O 0.3993 0.4000 0.7946
O 0.4064 0.2269 0.5962
O 0.4064 0.2731 0.0962
O 0.5936 0.7269 0.9038
O 0.5936 0.7731 0.4038
O 0.6007 0.6000 0.2054
O 0.6007 0.9000 0.7054
O 0.7091 0.1643 0.4997
O 0.7091 0.3357 0.9997
O 0.7797 0.5225 0.5714
O 0.7797 0.9775 0.0714
O 0.9111 0.6093 0.3027
O 0.9111 0.8907 0.8027
O 0.9369 0.2256 0.4195
O 0.9369 0.2744 0.9195

=====

*ii*
DFT (GGA+U) results for CoH6C2O6 after structural relaxation.

Results
Symmetry   No. 14

Lattice parameters (Å, degrees): 9.8524 5.5333 15.3264 90.00 105.46 90.00
Fractional positions:
Co 0.0000 0.0000 0.0000
Co 0.0000 0.5000 0.5000
Co 0.4590 0.1207 0.3207
Co 0.4590 0.3793 0.8207
Co 0.5410 0.6207 0.1793
Co 0.5410 0.8793 0.6793
H 0.0431 0.6419 0.2970
H 0.0431 0.8581 0.7970
H 0.0613 0.2055 0.3800
H 0.0613 0.2945 0.8800
H 0.1264 0.0697 0.4719
H 0.1264 0.4303 0.9719
H 0.1414 0.0118 0.7524
H 0.1414 0.4882 0.2524
H 0.2962 0.7478 0.8389
H 0.2962 0.7522 0.3389
H 0.3214 0.0986 0.0773
H 0.3214 0.4014 0.5773
H 0.3250 0.2455 0.4441
H 0.3250 0.2545 0.9441
H 0.4471 0.6452 0.3411
H 0.4471 0.8548 0.8411
H 0.4860 0.2292 0.5026
H 0.4860 0.2708 0.0026
H 0.5140 0.7292 0.9974
H 0.5140 0.7708 0.4974
H 0.5529 0.1452 0.1589
H 0.5529 0.3548 0.6589
H 0.6750 0.7455 0.0559
H 0.6750 0.7545 0.5559
H 0.6786 0.5986 0.4227
H 0.6786 0.9014 0.9227
H 0.7038 0.2478 0.6611
H 0.7038 0.2522 0.1611
H 0.8586 0.5118 0.7476
H 0.8586 0.9882 0.2476
H 0.8736 0.5697 0.0281
H 0.8736 0.9303 0.5281
H 0.9387 0.7055 0.1200
H 0.9387 0.7945 0.6200
H 0.9569 0.1419 0.2030
H 0.9569 0.3581 0.7030
C 0.2077 0.1065 0.1748
C 0.2077 0.3935 0.6748
C 0.2612 0.7351 0.0871
C 0.2612 0.7649 0.5871
C 0.3153 0.5226 0.6338
C 0.3153 0.9774 0.1338
C 0.6847 0.0226 0.8662
C 0.6847 0.4774 0.3662
C 0.7388 0.2351 0.4129
C 0.7388 0.2649 0.9129
C 0.7923 0.6065 0.3252
C 0.7923 0.8935 0.8252
O 0.0797 0.1260 0.1286
O 0.0797 0.3740 0.6286
O 0.1078 0.6542 0.2578
O 0.1078 0.8458 0.7578
O 0.1258 0.2284 0.4407
O 0.1258 0.2716 0.9407
O 0.1450 0.7284 0.0246
O 0.1450 0.7716 0.5246
O 0.2519 0.2006 0.2526
O 0.2519 0.2994 0.7526
O 0.3371 0.5498 0.1088
O 0.3371 0.9502 0.6088
O 0.3980 0.7219 0.8664
O 0.3980 0.7781 0.3664
O 0.4237 0.2355 0.9422
O 0.4237 0.2645 0.4422
O 0.4484 0.5451 0.6962
O 0.4484 0.9549 0.1962
O 0.5516 0.0451 0.8038
O 0.5516 0.4549 0.3038
O 0.5763 0.7355 0.5578
O 0.5763 0.7645 0.0578
O 0.6020 0.2219 0.6336
O 0.6020 0.2781 0.1336
O 0.6629 0.0498 0.3912
O 0.6629 0.4502 0.8912
O 0.7481 0.7006 0.2474
O 0.7481 0.7994 0.7474
O 0.8550 0.2284 0.4754
O 0.8550 0.2716 0.9754
O 0.8742 0.7284 0.0593
O 0.8742 0.7716 0.5593
O 0.8922 0.1542 0.2422
O 0.8922 0.3458 0.7422
O 0.9203 0.6260 0.3714
O 0.9203 0.8740 0.8714

=====

Which structure is most stable? *ii*, by 0.056 eV/atom over the runner-up.

=====

*i*
DFT (GGA+U) results for Li2CoC2O6 after structural relaxation.

Results
Symmetry   No. 1

Lattice parameters (Å, degrees): 6.4265 7.9523 9.7058 89.97 76.57 89.93
Fractional positions:
Li 0.0000 0.0000 0.0000
Li 0.0520 0.8483 0.3051
Li 0.2503 0.3409 0.2503
Li 0.3046 0.4908 0.5570
Li 0.5004 0.9992 0.5002
Li 0.5535 0.8494 0.8062
Li 0.7496 0.3406 0.7501
Li 0.8029 0.4908 0.0561
Co 0.0692 0.9220 0.6757
Co 0.3194 0.4191 0.9260
Co 0.5689 0.9216 0.1764
Co 0.8203 0.4186 0.4264
C 0.0726 0.6627 0.8191
C 0.0923 0.1869 0.5338
C 0.3232 0.6786 0.0688
C 0.3415 0.1544 0.7838
C 0.5732 0.6614 0.3189
C 0.5912 0.1865 0.0338
C 0.8233 0.6785 0.5688
C 0.8418 0.1540 0.2841
O 0.0415 0.5232 0.8902
O 0.1213 0.3291 0.4647
O 0.1789 0.6666 0.6879
O 0.1841 0.0486 0.4776
O 0.2254 0.1623 0.9118
O 0.2430 0.5374 0.1251
O 0.2915 0.8184 0.1393
O 0.3698 0.0124 0.7143
O 0.4300 0.6739 0.9377
O 0.4334 0.2924 0.7276
O 0.4756 0.1791 0.1619
O 0.4936 0.8028 0.3749
O 0.5421 0.5216 0.3899
O 0.6199 0.3285 0.9640
O 0.6788 0.6656 0.1876
O 0.6824 0.0481 0.9779
O 0.7256 0.1619 0.4120
O 0.7434 0.5373 0.6251
O 0.7916 0.8184 0.6394
O 0.8694 0.0122 0.2143
O 0.9300 0.6739 0.4378
O 0.9348 0.2916 0.2284
O 0.9756 0.1790 0.6617
O 0.9929 0.8041 0.8749

=====

*ii*
DFT (GGA+U) results for Li2CoC2O6 after structural relaxation.

Results
Symmetry   No. 43

Lattice parameters (Å, degrees): 8.6300 6.3031 9.9848 58.94 38.73 82.34
Fractional positions:
Li 0.3123 0.6878 0.3575
Li 0.6075 0.8925 0.5622
Li 0.6878 0.3123 0.6425
Li 0.8925 0.6075 0.9378
Co 0.2182 0.2182 0.2818
Co 0.9682 0.9682 0.0318
C 0.0817 0.4891 0.1171
C 0.1329 0.9380 0.1683
C 0.4891 0.0817 0.3120
C 0.9380 0.1329 0.7609
O 0.0416 0.6527 0.0093
O 0.1312 0.2800 0.6723
O 0.2364 0.8782 0.5131
O 0.2407 0.9536 0.2084
O 0.2800 0.1312 0.9165
O 0.3335 0.5777 0.9700
O 0.5777 0.3335 0.1188
O 0.6527 0.0416 0.2964
O 0.7369 0.8777 0.0136
O 0.8782 0.2364 0.3723
O 0.8777 0.7369 0.3718
O 0.9536 0.2407 0.5973

=====

Which structure is most stable? *ii*, by 0.029 eV/atom over the runner-up.